{
  "formula": "Zr9Re4O3",
  "functional": "PBE",
  "state": "relaxed",
  "energy_ev_per_atom": -10.0178,
  "cell": [[8.557, 0.000, 0.000], [-4.279, 7.411, 0.000], [0.000, 0.000, 8.678]],
  "species": ["Zr", "Zr", "Zr", "Zr", "Zr", "Zr", "Zr", "Zr", "Zr", "Zr", "Zr", "Zr", "Zr", "Zr", "Zr", "Zr", "Zr", "Zr", "Re", "Re", "Re", "Re", "Re", "Re", "Re", "Re", "O", "O", "O", "O", "O", "O"],
  "frac_coords": [[0.094, 0.547, 0.250], [0.202, 0.404, 0.562], [0.202, 0.404, 0.938], [0.202, 0.798, 0.562], [0.202, 0.798, 0.938], [0.404, 0.202, 0.062], [0.404, 0.202, 0.438], [0.453, 0.547, 0.250], [0.453, 0.906, 0.250], [0.547, 0.094, 0.750], [0.547, 0.453, 0.750], [0.596, 0.798, 0.562], [0.596, 0.798, 0.938], [0.798, 0.202, 0.062], [0.798, 0.202, 0.438], [0.798, 0.596, 0.062], [0.798, 0.596, 0.438], [0.906, 0.453, 0.750], [0.000, 0.000, 0.000], [0.000, 0.000, 0.500], [0.108, 0.215, 0.250], [0.108, 0.892, 0.250], [0.215, 0.108, 0.750], [0.785, 0.892, 0.250], [0.892, 0.108, 0.750], [0.892, 0.785, 0.750], [0.000, 0.500, 0.000], [0.000, 0.500, 0.500], [0.500, 0.000, 0.000], [0.500, 0.000, 0.500], [0.500, 0.500, 0.000], [0.500, 0.500, 0.500]]
}

=====

{
  "formula": "H9OsN7Cl2",
  "functional": "PBE",
  "state": "relaxed",
  "energy_ev_per_atom": -5.4842,
  "cell": [[13.729, 0.000, 0.000], [0.000, 9.665, 0.000], [0.000, 0.000, 6.932]],
  "species": ["H", "H", "H", "H", "H", "H", "H", "H", "H", "H", "H", "H", "H", "H", "H", "H", "H", "H", "H", "H", "H", "H", "H", "H", "H", "H", "H", "H", "H", "H", "H", "H", "H", "H", "H", "H", "Os", "Os", "Os", "Os", "N", "N", "N", "N", "N", "N", "N", "N", "N", "N", "N", "N", "N", "N", "N", "N", "N", "N", "N", "N", "N", "N", "N", "N", "N", "N", "N", "N", "Cl", "Cl", "Cl", "Cl", "Cl", "Cl", "Cl", "Cl"],
  "frac_coords": [[0.036, 0.163, 0.078], [0.036, 0.337, 0.078], [0.043, 0.750, 0.058], [0.205, 0.663, 0.374], [0.205, 0.837, 0.374], [0.210, 0.250, 0.333], [0.216, 0.250, 0.012], [0.218, 0.662, 0.983], [0.218, 0.838, 0.983], [0.282, 0.162, 0.483], [0.282, 0.338, 0.483], [0.284, 0.750, 0.512], [0.290, 0.750, 0.833], [0.295, 0.163, 0.874], [0.295, 0.337, 0.874], [0.457, 0.250, 0.558], [0.464, 0.663, 0.578], [0.464, 0.837, 0.578], [0.536, 0.163, 0.422], [0.536, 0.337, 0.422], [0.543, 0.750, 0.442], [0.705, 0.663, 0.126], [0.705, 0.837, 0.126], [0.710, 0.250, 0.167], [0.716, 0.250, 0.488], [0.718, 0.662, 0.517], [0.718, 0.838, 0.517], [0.782, 0.162, 0.017], [0.782, 0.338, 0.017], [0.784, 0.750, 0.988], [0.790, 0.750, 0.667], [0.795, 0.163, 0.626], [0.795, 0.337, 0.626], [0.957, 0.250, 0.942], [0.964, 0.663, 0.922], [0.964, 0.837, 0.922], [0.110, 0.750, 0.692], [0.390, 0.250, 0.192], [0.610, 0.750, 0.808], [0.890, 0.250, 0.308], [0.001, 0.250, 0.506], [0.007, 0.750, 0.929], [0.061, 0.250, 0.615], [0.109, 0.564, 0.689], [0.109, 0.936, 0.689], [0.215, 0.750, 0.460], [0.223, 0.750, 0.898], [0.277, 0.250, 0.398], [0.285, 0.250, 0.960], [0.391, 0.064, 0.189], [0.391, 0.436, 0.189], [0.439, 0.750, 0.115], [0.493, 0.250, 0.429], [0.499, 0.750, 0.006], [0.501, 0.250, 0.994], [0.507, 0.750, 0.571], [0.561, 0.250, 0.885], [0.609, 0.564, 0.811], [0.609, 0.936, 0.811], [0.715, 0.750, 0.040], [0.723, 0.750, 0.602], [0.777, 0.250, 0.102], [0.785, 0.250, 0.540], [0.891, 0.064, 0.311], [0.891, 0.436, 0.311], [0.939, 0.750, 0.385], [0.993, 0.250, 0.071], [0.999, 0.750, 0.494], [0.141, 0.501, 0.181], [0.141, 0.999, 0.181], [0.359, 0.001, 0.681], [0.359, 0.499, 0.681], [0.641, 0.501, 0.319], [0.641, 0.999, 0.319], [0.859, 0.001, 0.819], [0.859, 0.499, 0.819]]
}

=====

{
  "formula": "TiCoGe",
  "functional": "PBE",
  "state": "relaxed",
  "energy_ev_per_atom": -7.1383,
  "cell": [[6.184, 0.000, 0.000], [-3.092, 5.356, 0.000], [0.000, 0.000, 3.753]],
  "species": ["Ti", "Ti", "Ti", "Co", "Co", "Co", "Ge", "Ge", "Ge"],
  "frac_coords": [[0.000, 0.569, 0.000], [0.431, 0.431, 0.000], [0.569, 0.000, 0.000], [0.000, 0.243, 0.500], [0.243, 0.000, 0.500], [0.757, 0.757, 0.500], [0.000, 0.000, 0.000], [0.333, 0.667, 0.500], [0.667, 0.333, 0.500]]
}

=====

{
  "formula": "MnPt2",
  "functional": "PBE",
  "state": "relaxed",
  "energy_ev_per_atom": -7.2913,
  "cell": [[2.858, 0.000, 0.000], [-1.429, 2.475, 0.000], [0.000, 0.000, 6.533]],
  "species": ["Mn", "Pt", "Pt"],
  "frac_coords": [[0.000, 0.000, 0.000], [0.333, 0.667, 0.684], [0.667, 0.333, 0.316]]
}

=====

{
  "formula": "LiC",
  "functional": "PBE",
  "state": "relaxed",
  "energy_ev_per_atom": -5.5554,
  "cell": [[-1.814, 2.425, 2.695], [1.814, -2.425, 2.695], [1.814, 2.425, -2.695]],
  "species": ["Li", "Li", "C", "C"],
  "frac_coords": [[0.238, 0.238, 0.000], [0.762, 0.762, 0.000], [0.370, 0.000, 0.370], [0.630, 0.000, 0.630]]
}

=====

{
  "formula": "CrAs",
  "functional": "PBE",
  "state": "relaxed",
  "energy_ev_per_atom": -7.3472,
  "cell": [[5.689, 0.000, 0.000], [0.000, 3.567, 0.000], [0.000, 0.000, 6.287]],
  "species": ["Cr", "Cr", "Cr", "Cr", "As", "As", "As", "As"],
  "frac_coords": [[0.002, 0.250, 0.217], [0.498, 0.750, 0.717], [0.502, 0.250, 0.283], [0.998, 0.750, 0.783], [0.215, 0.250, 0.580], [0.285, 0.750, 0.080], [0.715, 0.250, 0.920], [0.785, 0.750, 0.420]]
}

=====

{
  "formula": "NaBeSi3HO8",
  "functional": "PBE",
  "state": "relaxed",
  "energy_ev_per_atom": -7.1287,
  "cell": [[12.846, 0.000, 0.000], [0.000, 13.781, 0.000], [0.000, 0.000, 7.441]],
  "species": ["Na", "Na", "Na", "Na", "Na", "Na", "Na", "Na", "Be", "Be", "Be", "Be", "Be", "Be", "Be", "Be", "Si", "Si", "Si", "Si", "Si", "Si", "Si", "Si", "Si", "Si", "Si", "Si", "Si", "Si", "Si", "Si", "Si", "Si", "Si", "Si", "Si", "Si", "Si", "Si", "H", "H", "H", "H", "H", "H", "H", "H", "O", "O", "O", "O", "O", "O", "O", "O", "O", "O", "O", "O", "O", "O", "O", "O", "O", "O", "O", "O", "O", "O", "O", "O", "O", "O", "O", "O", "O", "O", "O", "O", "O", "O", "O", "O", "O", "O", "O", "O", "O", "O", "O", "O", "O", "O", "O", "O", "O", "O", "O", "O", "O", "O", "O", "O", "O", "O", "O", "O", "O", "O", "O", "O"],
  "frac_coords": [[0.102, 0.071, 0.001], [0.102, 0.429, 0.001], [0.398, 0.571, 0.501], [0.398, 0.929, 0.501], [0.602, 0.071, 0.499], [0.602, 0.429, 0.499], [0.898, 0.571, 0.999], [0.898, 0.929, 0.999], [0.005, 0.000, 0.344], [0.005, 0.500, 0.344], [0.495, 0.000, 0.844], [0.495, 0.500, 0.844], [0.505, 0.000, 0.156], [0.505, 0.500, 0.156], [0.995, 0.000, 0.656], [0.995, 0.500, 0.656], [0.157, 0.637, 0.731], [0.157, 0.863, 0.731], [0.159, 0.138, 0.516], [0.159, 0.362, 0.516], [0.168, 0.638, 0.306], [0.168, 0.862, 0.306], [0.332, 0.138, 0.806], [0.332, 0.362, 0.806], [0.341, 0.638, 0.016], [0.341, 0.862, 0.016], [0.343, 0.137, 0.231], [0.343, 0.363, 0.231], [0.657, 0.637, 0.769], [0.657, 0.863, 0.769], [0.659, 0.138, 0.984], [0.659, 0.362, 0.984], [0.668, 0.638, 0.194], [0.668, 0.862, 0.194], [0.832, 0.138, 0.694], [0.832, 0.362, 0.694], [0.841, 0.638, 0.484], [0.841, 0.862, 0.484], [0.843, 0.137, 0.269], [0.843, 0.363, 0.269], [0.002, 0.250, 0.089], [0.009, 0.250, 0.883], [0.491, 0.750, 0.383], [0.498, 0.750, 0.589], [0.502, 0.250, 0.411], [0.509, 0.250, 0.617], [0.991, 0.750, 0.117], [0.998, 0.750, 0.911], [0.053, 0.250, 0.991], [0.061, 0.066, 0.507], [0.061, 0.434, 0.507], [0.065, 0.564, 0.788], [0.065, 0.936, 0.788], [0.085, 0.562, 0.228], [0.085, 0.938, 0.228], [0.119, 0.250, 0.501], [0.119, 0.750, 0.766], [0.127, 0.750, 0.268], [0.196, 0.625, 0.521], [0.196, 0.875, 0.521], [0.217, 0.123, 0.711], [0.217, 0.377, 0.711], [0.238, 0.116, 0.349], [0.238, 0.384, 0.349], [0.262, 0.616, 0.849], [0.262, 0.884, 0.849], [0.283, 0.623, 0.211], [0.283, 0.877, 0.211], [0.304, 0.125, 0.021], [0.304, 0.375, 0.021], [0.373, 0.250, 0.768], [0.381, 0.250, 0.266], [0.381, 0.750, 0.001], [0.415, 0.062, 0.728], [0.415, 0.438, 0.728], [0.435, 0.064, 0.288], [0.435, 0.436, 0.288], [0.439, 0.566, 0.007], [0.439, 0.934, 0.007], [0.447, 0.750, 0.491], [0.553, 0.250, 0.509], [0.561, 0.066, 0.993], [0.561, 0.434, 0.993], [0.565, 0.564, 0.712], [0.565, 0.936, 0.712], [0.585, 0.562, 0.272], [0.585, 0.938, 0.272], [0.619, 0.250, 0.999], [0.619, 0.750, 0.734], [0.627, 0.750, 0.232], [0.696, 0.625, 0.979], [0.696, 0.875, 0.979], [0.717, 0.123, 0.789], [0.717, 0.377, 0.789], [0.738, 0.116, 0.151], [0.738, 0.384, 0.151], [0.762, 0.616, 0.651], [0.762, 0.884, 0.651], [0.783, 0.623, 0.289], [0.783, 0.877, 0.289], [0.804, 0.125, 0.479], [0.804, 0.375, 0.479], [0.873, 0.250, 0.732], [0.881, 0.250, 0.234], [0.881, 0.750, 0.499], [0.915, 0.062, 0.772], [0.915, 0.438, 0.772], [0.935, 0.064, 0.212], [0.935, 0.436, 0.212], [0.939, 0.566, 0.493], [0.939, 0.934, 0.493], [0.947, 0.750, 0.009]]
}

=====

{
  "formula": "SrPrScO4",
  "functional": "PBE",
  "state": "relaxed",
  "relative_energy_mev_per_atom": 0,
  "cell": [[2.858, -6.226, 0.000], [2.858, 6.226, 0.000], [0.000, 0.000, 5.888]],
  "species": ["Sr", "Sr", "Pr", "Pr", "Sc", "Sc", "O", "O", "O", "O", "O", "O", "O", "O"],
  "frac_coords": [[0.104, 0.896, 0.500], [0.896, 0.104, 0.000], [0.391, 0.609, 0.470], [0.609, 0.391, 0.970], [0.246, 0.754, 0.982], [0.754, 0.246, 0.482], [0.027, 0.483, 0.728], [0.083, 0.917, 0.923], [0.430, 0.570, 0.075], [0.483, 0.027, 0.228], [0.517, 0.973, 0.728], [0.570, 0.430, 0.575], [0.917, 0.083, 0.423], [0.973, 0.517, 0.228]]
}